Record 1
10
Lattice="0.0000 -4.1177 -4.1177 4.1177 0.0000 -4.1177 4.1177 -4.1177 0.0000" Properties=species:S:1:pos:R:3 comment="Eu2NbWO6, optimized geometry, DFT GGA+U" magmom_total_mub_per_fu=17.0 e_form_ev_per_fu=-28.2 sg="Fm-3m (225)" crystal_system=cubic vol_a3_per_fu=139.6 energy_ev_per_atom=-9.290 pbc="T T T"
O 4.1177 -6.2291 -4.1177
O 4.1177 -4.1177 -2.0064
O 2.0064 -4.1177 -4.1177
O 6.2291 -4.1177 -4.1177
Eu 6.1766 -6.1766 -6.1766
O 4.1177 -4.1177 -6.2291
W 4.1177 -4.1177 -4.1177
Eu 2.0589 -2.0589 -2.0589
Nb 0.0000 0.0000 0.0000
O 4.1177 -2.0064 -4.1177

Record 2
20
Lattice="5.4177 0.0000 0.0000 0.0000 5.4746 0.0000 0.0000 0.0000 7.6499" Properties=species:S:1:pos:R:3 comment="EuNiO3, optimized geometry, DFT GGA+U" e_form_ev_per_fu=-10.4 sg="Pnma (62)" crystal_system=orthorhombic vol_a3_per_fu=56.7 energy_ev_per_atom=-7.337 pbc="T T T"
O 3.8032 1.6320 3.5217
Ni 0.0000 2.7373 3.8249
O 2.2832 5.3810 1.9125
O 1.0944 1.1054 7.3466
O 0.4257 2.6436 1.9125
Eu 2.7473 2.9919 1.9125
Eu 2.6704 2.4827 5.7374
Ni 0.0000 2.7373 0.0000
Ni 2.7089 0.0000 0.0000
Eu 0.0384 5.2201 5.7374
O 1.0944 1.1054 4.1282
O 4.9920 2.8310 5.7374
O 1.6145 3.8427 4.1282
O 3.8032 1.6320 0.3033
Ni 2.7089 0.0000 3.8249
O 1.6145 3.8427 7.3466
Eu 5.3793 0.2546 1.9125
O 4.3233 4.3693 3.5217
O 3.1345 0.0937 5.7374
O 4.3233 4.3693 0.3033

Record 3
5
Lattice="3.7924 0.0000 0.0000 0.0000 3.7924 0.0000 0.0000 0.0000 3.7924" Properties=species:S:1:pos:R:3 comment="EuNiO3, optimized geometry, DFT GGA+U" magmom_total_mub_per_fu=7.0 e_form_ev_per_fu=-10.0 sg="Pm-3m (221)" crystal_system=cubic vol_a3_per_fu=54.5 energy_ev_per_atom=-7.265 pbc="T T T"
O 1.8962 0.0000 0.0000
O 0.0000 1.8962 0.0000
Ni 0.0000 0.0000 0.0000
O 0.0000 0.0000 1.8962
Eu 1.8962 1.8962 1.8962